(1)
A plane-wave DFT calculation with GGA-PBE was carried out for a geometry-optimized UCo2Si2 structure.

## Properties
For the raw total energy, the calculation gives -7.84 eV/atom. Its formation energy is -0.539 eV per atom.

Cell lengths 5.559, 5.559, 5.559 Å; angles 139.16, 139.16, 59.13 degrees
Sites, in units of the cell vectors:
U1 0.000 0.000 0.000
Co1 0.250 0.750 0.500
Co2 0.750 0.250 0.500
Si1 0.376 0.376 0.000
Si2 0.624 0.624 0.000

(2)
A plane-wave DFT calculation with GGA-PBE was carried out for a geometry-optimized UCoSi structure.

## Properties
The value obtained for the spin magnetization is 0.0 μB/f.u. For the raw total energy, the calculation gives -8.34 eV/atom. Its formation energy is -0.376 eV per atom.

Cell lengths 7.013, 3.966, 7.137 Å; angles 90.00, 90.00, 90.00 degrees
Sites, in units of the cell vectors:
U1 0.001 0.250 0.247
U2 0.499 0.750 0.747
U3 0.501 0.250 0.253
U4 0.999 0.750 0.753
Co1 0.247 0.750 0.402
Co2 0.253 0.250 0.902
Co3 0.747 0.750 0.098
Co4 0.753 0.250 0.598
Si1 0.246 0.250 0.577
Si2 0.254 0.750 0.077
Si3 0.746 0.250 0.923
Si4 0.754 0.750 0.423

(3)
A plane-wave DFT calculation with GGA-PBE was carried out for a geometry-optimized U2Co3Si5 structure.

## Properties
The value obtained for the spin magnetization is 0.2 μB/f.u. For the raw total energy, the calculation gives -7.65 eV/atom. Its formation energy is -0.506 eV per atom.

Cell lengths 7.829, 7.829, 7.829 Å; angles 104.37, 90.31, 138.28 degrees
Sites, in units of the cell vectors:
U1 0.134 0.234 0.368
U2 0.366 0.734 0.099
U3 0.634 0.266 0.901
U4 0.866 0.766 0.632
Co1 0.139 0.885 0.024
Co2 0.250 0.750 0.500
Co3 0.361 0.385 0.747
Co4 0.639 0.615 0.253
Co5 0.750 0.250 0.500
Co6 0.861 0.115 0.976
Si1 0.021 0.750 0.271
Si2 0.103 0.653 0.756
Si3 0.250 0.250 0.000
Si4 0.397 0.153 0.551
Si5 0.479 0.750 0.729
Si6 0.521 0.250 0.271
Si7 0.603 0.847 0.449
Si8 0.750 0.750 0.000
Si9 0.897 0.347 0.244
Si10 0.979 0.250 0.729

(4)
A plane-wave DFT calculation with GGA-PBE was carried out for a geometry-optimized YCoSi structure.

## Properties
For the raw total energy, the calculation gives -7.05 eV/atom. Its formation energy is -0.695 eV per atom.

Cell lengths 6.825, 4.145, 7.105 Å; angles 90.00, 90.00, 90.00 degrees
Sites, in units of the cell vectors:
Y1 0.010 0.250 0.193
Y2 0.490 0.750 0.693
Y3 0.510 0.250 0.307
Y4 0.990 0.750 0.807
Co1 0.150 0.750 0.433
Co2 0.350 0.250 0.933
Co3 0.650 0.750 0.067
Co4 0.850 0.250 0.567
Si1 0.196 0.250 0.599
Si2 0.304 0.750 0.099
Si3 0.696 0.250 0.901
Si4 0.804 0.750 0.401

(5)
A plane-wave DFT calculation with GGA-PBE was carried out for a geometry-optimized YCo2Si2 structure.

## Properties
For the raw total energy, the calculation gives -7.14 eV/atom. Its formation energy is -0.803 eV per atom.

Cell lengths 5.605, 5.605, 5.605 Å; angles 139.47, 139.47, 58.66 degrees
Sites, in units of the cell vectors:
Y1 0.000 0.000 0.000
Co1 0.250 0.750 0.500
Co2 0.750 0.250 0.500
Si1 0.371 0.371 0.000
Si2 0.629 0.629 0.000

(6)
A plane-wave DFT calculation with GGA-PBE was carried out for a geometry-optimized YCo4Si structure.

## Properties
The value obtained for the spin magnetization is 3.7 μB/f.u. For the raw total energy, the calculation gives -7.08 eV/atom. Its formation energy is -0.344 eV per atom.

Cell lengths 5.076, 5.076, 3.719 Å; angles 90.00, 90.00, 120.00 degrees
Sites, in units of the cell vectors:
Y1 0.000 0.000 0.000
Co1 0.000 0.500 0.500
Co2 0.500 0.000 0.500
Co3 0.500 0.500 0.500
Co4 0.667 0.333 0.000
Si1 0.333 0.667 0.000

(7)
A plane-wave DFT calculation with GGA-PBE was carried out for a geometry-optimized YCo9Si4 structure.

## Properties
The value obtained for the spin magnetization is 5.6 μB/f.u. For the raw total energy, the calculation gives -7.07 eV/atom. Its formation energy is -0.469 eV per atom.

Cell lengths 7.909, 7.909, 7.909 Å; angles 121.58, 121.58, 87.29 degrees
Sites, in units of the cell vectors:
Y1 0.250 0.250 0.000
Y2 0.750 0.750 0.000
Co1 0.000 0.500 0.500
Co2 0.050 0.550 0.239
Co3 0.069 0.802 0.871
Co4 0.189 0.950 0.500
Co5 0.198 0.069 0.268
Co6 0.302 0.569 0.871
Co7 0.311 0.811 0.761
Co8 0.431 0.302 0.732
Co9 0.450 0.689 0.500
Co10 0.500 0.000 0.500
Co11 0.550 0.311 0.500
Co12 0.569 0.698 0.268
Co13 0.689 0.189 0.239
Co14 0.698 0.431 0.129
Co15 0.802 0.931 0.732
Co16 0.811 0.050 0.500
Co17 0.931 0.198 0.129
Co18 0.950 0.450 0.761
Si1 0.046 0.208 0.500
Si2 0.208 0.708 0.162
Si3 0.292 0.454 0.500
Si4 0.454 0.954 0.162
Si5 0.546 0.046 0.838
Si6 0.708 0.546 0.500
Si7 0.792 0.292 0.838
Si8 0.954 0.792 0.500